1.
! Na10Ta2In6Si7S5O48 | Materials Project | PBE-GGA | optimized geometry; values from VASP
! - crystal system = triclinic
! - symmetry = P1 (1)
&SYSTEM
  ibrav = 0, nat = 234, ntyp = 6
/
ATOMIC_SPECIES
Na 22.99 Na.upf
Ta 180.95 Ta.upf
In 114.82 In.upf
Si 28.09 Si.upf
S 32.06 S.upf
O 16.00 O.upf
CELL_PARAMETERS angstrom
9.108 0.000 0.000
0.002 15.856 0.000
0.005 0.075 22.826
ATOMIC_POSITIONS crystal
Na 0.000 0.000 0.000
Na 0.002 0.978 0.661
Na 0.067 0.980 0.332
Na 0.158 0.482 0.587
Na 0.169 0.794 0.252
Na 0.178 0.153 0.915
Na 0.184 0.150 0.416
Na 0.187 0.494 0.084
Na 0.196 0.799 0.752
Na 0.321 0.977 0.827
Na 0.356 0.972 0.169
Na 0.361 0.326 0.175
Na 0.364 0.629 0.503
Na 0.484 0.163 0.331
Na 0.487 0.799 0.324
Na 0.492 0.129 0.003
Na 0.495 0.826 0.676
Na 0.503 0.475 0.663
Na 0.535 0.480 0.326
Na 0.668 0.992 0.584
Na 0.670 0.311 0.249
Na 0.674 0.651 0.915
Na 0.676 0.306 0.750
Na 0.698 0.647 0.414
Na 0.698 0.982 0.087
Na 0.848 0.164 0.825
Na 0.852 0.479 0.161
Na 0.856 0.501 0.501
Na 0.875 0.131 0.501
Na 0.981 0.631 0.000
Ta 0.163 0.818 0.099
Ta 0.168 0.812 0.595
Ta 0.190 0.478 0.436
Ta 0.664 0.976 0.935
Ta 0.686 0.313 0.094
Ta 0.693 0.319 0.600
In 0.168 0.139 0.065
In 0.169 0.477 0.933
In 0.172 0.486 0.727
In 0.172 0.814 0.396
In 0.173 0.143 0.562
In 0.183 0.812 0.897
In 0.185 0.143 0.758
In 0.191 0.147 0.263
In 0.200 0.492 0.229
In 0.654 0.991 0.730
In 0.663 0.648 0.765
In 0.674 0.984 0.226
In 0.678 0.317 0.398
In 0.679 0.977 0.434
In 0.680 0.639 0.258
In 0.684 0.643 0.061
In 0.685 0.315 0.897
In 0.685 0.640 0.565
Si 0.023 0.997 0.165
Si 0.025 0.962 0.491
Si 0.026 0.667 0.493
Si 0.323 0.959 0.995
Si 0.324 0.332 0.329
Si 0.326 0.996 0.660
Si 0.334 0.631 0.333
Si 0.380 0.651 0.659
Si 0.387 0.979 0.330
Si 0.478 0.151 0.159
Si 0.526 0.134 0.833
Si 0.529 0.495 0.160
Si 0.530 0.461 0.496
Si 0.533 0.830 0.828
Si 0.827 0.462 0.992
Si 0.828 0.499 0.664
Si 0.831 0.166 0.991
Si 0.877 0.147 0.664
Si 0.882 0.812 0.992
Si 0.975 0.312 0.493
Si 0.978 0.647 0.162
S 0.023 0.293 0.162
S 0.028 0.630 0.831
S 0.037 0.331 0.828
S 0.323 0.668 0.998
S 0.334 0.296 0.661
S 0.385 0.316 0.998
S 0.465 0.479 0.830
S 0.472 0.816 0.499
S 0.522 0.794 0.161
S 0.533 0.170 0.498
S 0.820 0.831 0.328
S 0.826 0.130 0.331
S 0.832 0.794 0.662
S 0.891 0.480 0.330
S 0.965 0.980 0.830
O 0.000 0.476 0.670
O 0.005 0.150 0.000
O 0.010 0.470 0.996
O 0.043 0.242 0.215
O 0.044 0.046 0.103
O 0.052 0.060 0.831
O 0.058 0.404 0.485
O 0.058 0.720 0.435
O 0.062 0.584 0.887
O 0.068 0.908 0.833
O 0.070 0.558 0.169
O 0.073 0.897 0.547
O 0.079 0.380 0.168
O 0.079 0.923 0.430
O 0.080 0.380 0.776
O 0.086 0.235 0.504
O 0.090 0.370 0.883
O 0.092 0.256 0.110
O 0.092 0.729 0.150
O 0.094 0.056 0.497
O 0.094 0.587 0.780
O 0.096 0.716 0.831
O 0.100 0.244 0.826
O 0.104 0.716 0.550
O 0.107 0.039 0.220
O 0.109 0.572 0.489
O 0.112 0.903 0.156
O 0.240 0.902 0.648
O 0.246 0.584 0.997
O 0.247 0.923 0.937
O 0.249 0.027 0.722
O 0.249 0.239 0.329
O 0.254 0.715 0.047
O 0.260 0.390 0.385
O 0.264 0.595 0.274
O 0.266 0.056 0.000
O 0.268 0.258 0.609
O 0.270 0.734 0.650
O 0.277 0.727 0.340
O 0.280 0.385 0.667
O 0.281 0.897 0.334
O 0.284 0.065 0.328
O 0.284 0.900 0.053
O 0.288 0.567 0.391
O 0.289 0.243 0.005
O 0.291 0.562 0.668
O 0.300 0.396 0.997
O 0.300 0.711 0.941
O 0.301 0.062 0.608
O 0.301 0.387 0.269
O 0.313 0.247 0.716
O 0.346 0.129 0.828
O 0.346 0.465 0.492
O 0.352 0.826 0.834
O 0.355 0.469 0.162
O 0.357 0.804 0.155
O 0.367 0.484 0.883
O 0.367 0.821 0.551
O 0.375 0.160 0.504
O 0.376 0.140 0.101
O 0.379 0.473 0.775
O 0.386 0.178 0.218
O 0.389 0.805 0.445
O 0.473 0.301 0.946
O 0.473 0.635 0.599
O 0.479 0.963 0.269
O 0.481 0.657 0.005
O 0.483 0.682 0.713
O 0.486 0.324 0.051
O 0.499 0.305 0.654
O 0.499 0.970 0.662
O 0.499 0.997 0.385
O 0.506 0.321 0.335
O 0.507 0.964 0.991
O 0.518 0.632 0.330
O 0.545 0.750 0.218
O 0.556 0.402 0.833
O 0.557 0.556 0.830
O 0.557 0.561 0.108
O 0.559 0.210 0.439
O 0.560 0.884 0.768
O 0.560 0.894 0.501
O 0.565 0.740 0.506
O 0.568 0.063 0.164
O 0.570 0.070 0.891
O 0.573 0.401 0.553
O 0.580 0.882 0.162
O 0.584 0.751 0.111
O 0.586 0.234 0.149
O 0.589 0.557 0.500
O 0.596 0.228 0.839
O 0.597 0.890 0.885
O 0.599 0.222 0.545
O 0.605 0.425 0.437
O 0.606 0.524 0.222
O 0.613 0.087 0.500
O 0.614 0.739 0.830
O 0.615 0.097 0.778
O 0.615 0.401 0.148
O 0.735 0.543 0.716
O 0.741 0.403 0.656
O 0.745 0.748 0.323
O 0.747 0.071 0.990
O 0.749 0.219 0.045
O 0.751 0.214 0.333
O 0.758 0.088 0.280
O 0.761 0.420 0.935
O 0.761 0.557 0.996
O 0.762 0.869 0.382
O 0.763 0.756 0.610
O 0.765 0.230 0.651
O 0.771 0.735 0.003
O 0.776 0.880 0.668
O 0.785 0.059 0.670
O 0.785 0.400 0.050
O 0.787 0.885 0.276
O 0.791 0.405 0.332
O 0.797 0.557 0.332
O 0.798 0.904 0.985
O 0.803 0.082 0.386
O 0.805 0.214 0.929
O 0.810 0.545 0.601
O 0.815 0.742 0.715
O 0.842 0.972 0.496
O 0.850 0.975 0.171
O 0.851 0.650 0.500
O 0.858 0.301 0.153
O 0.860 0.328 0.551
O 0.867 0.635 0.826
O 0.867 0.985 0.883
O 0.870 0.286 0.439
O 0.873 0.324 0.827
O 0.876 0.669 0.218
O 0.880 0.972 0.776
O 0.888 0.630 0.102
O 0.973 0.167 0.724
O 0.974 0.131 0.606
O 0.975 0.473 0.276
O 0.982 0.822 0.329
O 0.986 0.139 0.324
O 0.986 0.483 0.383
O 0.988 0.787 0.938
O 0.996 0.828 0.051
O 0.997 0.803 0.653



2.
! Na8TaIn3Si5SO24 | Materials Project | PBE-GGA | optimized geometry; values from VASP
! - crystal system = triclinic
! - symmetry = P1 (1)
&SYSTEM
  ibrav = 0, nat = 126, ntyp = 6
/
ATOMIC_SPECIES
Na 22.99 Na.upf
Ta 180.95 Ta.upf
In 114.82 In.upf
Si 28.09 Si.upf
S 32.06 S.upf
O 16.00 O.upf
CELL_PARAMETERS angstrom
9.269 0.000 0.000
4.623 8.040 0.000
0.076 -0.036 22.597
ATOMIC_POSITIONS crystal
Na 0.000 0.000 0.000
Na 0.001 0.382 0.501
Na 0.251 0.748 0.498
Na 0.252 0.387 0.000
Na 0.296 0.043 0.577
Na 0.299 0.044 0.079
Na 0.307 0.677 0.824
Na 0.315 0.404 0.333
Na 0.317 0.347 0.656
Na 0.324 0.724 0.164
Na 0.587 0.074 0.163
Na 0.597 0.717 0.660
Na 0.617 0.379 0.249
Na 0.628 0.390 0.740
Na 0.635 0.000 0.497
Na 0.639 0.748 0.996
Na 0.643 0.689 0.337
Na 0.666 0.031 0.830
Na 0.914 0.428 0.827
Na 0.930 0.045 0.341
Na 0.951 0.712 0.919
Na 0.962 0.717 0.424
Na 0.972 0.065 0.656
Na 0.977 0.341 0.159
Ta 0.629 0.377 0.595
Ta 0.630 0.378 0.098
Ta 0.961 0.721 0.260
In 0.305 0.033 0.725
In 0.307 0.028 0.434
In 0.307 0.036 0.228
In 0.309 0.035 0.937
In 0.620 0.378 0.399
In 0.627 0.390 0.901
In 0.949 0.714 0.751
In 0.961 0.709 0.563
In 0.964 0.712 0.062
Si 0.258 0.417 0.161
Si 0.261 0.706 0.662
Si 0.293 0.746 0.327
Si 0.330 0.378 0.494
Si 0.332 0.670 0.996
Si 0.597 0.043 0.327
Si 0.598 0.744 0.829
Si 0.632 0.088 0.994
Si 0.634 0.667 0.494
Si 0.664 0.016 0.662
Si 0.673 0.706 0.160
Si 0.924 0.084 0.493
Si 0.927 0.376 0.994
Si 0.961 0.012 0.159
Si 0.961 0.407 0.662
S 0.000 0.044 0.829
S 0.001 0.348 0.327
S 0.295 0.341 0.829
O 0.004 0.896 0.102
O 0.005 0.486 0.606
O 0.078 0.245 0.273
O 0.079 0.069 0.776
O 0.099 0.028 0.884
O 0.101 0.083 0.495
O 0.103 0.272 0.380
O 0.105 0.201 0.994
O 0.115 0.046 0.170
O 0.121 0.220 0.670
O 0.123 0.723 0.318
O 0.142 0.743 0.606
O 0.147 0.490 0.102
O 0.147 0.512 0.826
O 0.147 0.542 0.501
O 0.148 0.692 0.000
O 0.156 0.546 0.217
O 0.187 0.665 0.723
O 0.242 0.869 0.385
O 0.270 0.262 0.883
O 0.281 0.232 0.169
O 0.285 0.868 0.665
O 0.311 0.242 0.776
O 0.322 0.826 0.267
O 0.327 0.203 0.495
O 0.329 0.849 0.998
O 0.398 0.414 0.433
O 0.401 0.565 0.934
O 0.443 0.408 0.156
O 0.449 0.537 0.654
O 0.451 0.351 0.832
O 0.455 0.088 0.997
O 0.457 0.359 0.550
O 0.458 0.844 0.498
O 0.460 0.561 0.331
O 0.462 0.563 0.052
O 0.474 0.048 0.666
O 0.479 0.827 0.771
O 0.481 0.084 0.269
O 0.485 0.865 0.166
O 0.516 0.861 0.889
O 0.521 0.997 0.385
O 0.614 0.212 0.051
O 0.615 0.556 0.831
O 0.616 0.561 0.550
O 0.632 0.200 0.331
O 0.648 0.201 0.652
O 0.661 0.165 0.933
O 0.664 0.531 0.156
O 0.665 0.561 0.432
O 0.745 0.891 0.606
O 0.747 0.745 0.102
O 0.778 0.952 0.722
O 0.783 0.192 0.156
O 0.784 0.867 0.317
O 0.785 0.728 0.825
O 0.790 0.392 0.652
O 0.794 0.904 0.999
O 0.797 0.689 0.499
O 0.799 0.679 0.217
O 0.816 0.208 0.550
O 0.818 0.161 0.432
O 0.820 0.355 0.052
O 0.823 0.410 0.933
O 0.829 0.192 0.832
O 0.831 0.369 0.330
O 0.913 0.521 0.723
O 0.932 0.909 0.216
O 0.942 0.901 0.499
O 0.946 0.540 0.000
O 0.986 0.517 0.320
O 0.991 0.888 0.826



| no. | total magnetic moment (Bohr magnetons per cell) | DFT formation energy (eV/atom) |
| --- | --- | --- |
| 1 | 0.0 | -2.452 |
| 2 | 0.0 | -2.589 |